[1]
Computed, not measured: a relaxed structure of NaGe6As6 at the GGA-PBE level of DFT.

Geometry as CIF:
```
data_NaGe6As6
_chemical_formula_sum 'Na2 Ge12 As12'
_symmetry_space_group_name_H-M 'C 1 2/m 1'
_symmetry_Int_Tables_number 12
_cell_length_a 22.6046
_cell_length_b 3.8885
_cell_length_c 7.3427
_cell_angle_alpha 90.00
_cell_angle_beta 92.84
_cell_angle_gamma 90.00
loop_
_symmetry_equiv_pos_as_xyz
'x,y,z'
'-x,-y,-z'
'-x,y,-z'
'x,-y,z'
'x+1/2,y+1/2,z'
'-x+1/2,-y+1/2,-z'
'-x+1/2,y+1/2,-z'
'x+1/2,-y+1/2,z'
loop_
_atom_site_label
_atom_site_type_symbol
_atom_site_fract_x
_atom_site_fract_y
_atom_site_fract_z
Na1 Na 0.0000 0.0000 0.0000
Ge1 Ge 0.0537 0.0000 0.4684
Ge2 Ge 0.1799 0.5000 0.3242
Ge3 Ge 0.1807 0.5000 0.6702
As1 As 0.0713 0.5000 0.2584
As2 As 0.1178 0.0000 0.7624
As3 As 0.2207 0.0000 0.1541
```

Properties
DFT formation energy	-0.05	eV/atom
total moment	0.00	μB per formula unit
calculated density	4680	kg/m³
uncorrected energy	-4.436	eV/atom

***

[2]
Computed, not measured: a relaxed structure of YHo3 at the GGA-PBE level of DFT.

Geometry as CIF:
```
data_YHo3
_chemical_formula_sum 'Y2 Ho6'
_symmetry_space_group_name_H-M 'I 4/m m m'
_symmetry_Int_Tables_number 139
_symmetry_space_group_name_Hall '-I 4 2'
_cell_length_a 5.0039
_cell_length_b 5.0039
_cell_length_c 10.0256
_cell_angle_alpha 90.00
_cell_angle_beta 90.00
_cell_angle_gamma 90.00
loop_
_atom_site_label
_atom_site_type_symbol
_atom_site_fract_x
_atom_site_fract_y
_atom_site_fract_z
Y1 Y 0.0000 0.0000 0.0000
Ho1 Ho 0.0000 0.0000 0.5000
Ho2 Ho 0.0000 0.5000 0.2500
```

Properties
DFT formation energy	0.03	eV/atom
calculated density	7722	kg/m³
uncorrected energy	-5.025	eV/atom